Record 1
BaMg6MnO8: optimized geometry, GGA+U.

Output
Space-group type   P4/mmm (123)
Relative energy among the computed polymorphs   0.000 eV per atom
DFT total energy   -93.779 eV per cell

Unit cell a=8.892 b=4.673 c=4.673 alpha=90.00 beta=90.00 gamma=90.00
Fractional positions:
O  0.283  0.500  0.500
O  0.000  0.500  0.000
O  0.717  0.500  0.500
O  0.500  0.000  0.500
O  0.740  0.000  0.000
O  0.260  0.000  0.000
O  0.000  0.000  0.500
O  0.500  0.500  0.000
Mg  0.731  0.500  0.000
Mg  0.500  0.000  0.000
Mg  0.500  0.500  0.500
Mg  0.269  0.500  0.000
Mg  0.731  0.000  0.500
Mg  0.269  0.000  0.500
Ba  0.000  0.500  0.500
Mn  0.000  0.000  0.000


Record 2
Ba2MgMn2O6: optimized geometry, GGA+U.

Output
Space-group type   Pm (6)
Relative energy among the computed polymorphs   0.180 eV per atom
DFT total energy   -71.213 eV per cell

Unit cell a=6.641 b=6.517 c=5.511 alpha=90.00 beta=90.00 gamma=128.97
Fractional positions:
Mg  0.392  0.624  0.250
O  0.747  0.805  0.250
O  0.261  0.184  0.750
O  0.201  0.259  0.250
O  0.830  0.186  0.750
O  0.822  0.736  0.750
O  0.234  0.782  0.250
Ba  0.220  0.728  0.750
Ba  0.658  0.320  0.250
Mn  0.984  0.021  0.983
Mn  0.984  0.021  0.517


Record 3
Ba2MgMn2O6: optimized geometry, GGA+U.

Output
Space-group type   P1 (1)
Relative energy among the computed polymorphs   0.195 eV per atom
DFT total energy   -71.050 eV per cell

Unit cell a=5.455 b=5.782 c=6.003 alpha=117.99 beta=85.22 gamma=107.57
Fractional positions:
Mg  0.986  0.540  0.774
O  0.834  0.245  0.414
O  0.852  0.227  0.897
O  0.186  0.857  0.125
O  0.301  0.754  0.648
O  0.372  0.291  0.078
O  0.720  0.743  0.902
Ba  0.755  0.696  0.357
Ba  0.387  0.224  0.604
Mn  0.509  0.987  0.961
Mn  0.019  0.093  0.073


Record 4
Ba2MgMn2O6: optimized geometry, GGA+U.

Output
Space-group type   C2/m (12)
Relative energy among the computed polymorphs   0.024 eV per atom
DFT total energy   -72.935 eV per cell

Unit cell a=6.497 b=5.620 c=5.454 alpha=90.03 beta=70.87 gamma=115.66
Fractional positions:
O  0.136  0.310  0.233
O  0.136  0.826  0.233
O  0.306  0.153  0.703
O  0.864  0.690  0.767
O  0.694  0.847  0.297
O  0.864  0.174  0.767
Mn  0.000  0.000  0.000
Mn  0.000  0.000  0.500
Mg  0.000  0.500  0.500
Ba  0.585  0.293  0.191
Ba  0.415  0.707  0.809


Record 5
BaMg6MnO8: optimized geometry, GGA+U.

Output
Space-group type   P4/mmm (123)
Relative energy among the computed polymorphs   0.033 eV per atom
DFT total energy   -93.254 eV per cell

Unit cell a=8.907 b=4.685 c=4.685 alpha=90.00 beta=90.00 gamma=90.00
Fractional positions:
O  0.500  0.500  0.000
O  0.000  0.000  0.500
O  0.754  0.500  0.500
O  0.246  0.500  0.500
O  0.223  0.000  0.000
O  0.500  0.000  0.500
O  0.777  0.000  0.000
O  0.000  0.500  0.000
Mg  0.000  0.500  0.500
Mg  0.234  0.000  0.500
Mg  0.766  0.000  0.500
Mg  0.766  0.500  0.000
Mg  0.234  0.500  0.000
Mg  0.500  0.500  0.500
Mn  0.000  0.000  0.000
Ba  0.500  0.000  0.000


Record 6
BaMgMn4O8: optimized geometry, GGA+U.

Output
Space-group type   P-31m (162)
Relative energy among the computed polymorphs   0.064 eV per atom
DFT total energy   -97.426 eV per cell

Unit cell a=5.488 b=5.488 c=7.257 alpha=90.00 beta=90.00 gamma=120.00
Fractional positions:
Ba  0.000  0.000  0.000
Mn  0.667  0.333  0.261
Mn  0.333  0.667  0.739
Mn  0.333  0.667  0.261
Mn  0.667  0.333  0.739
O  0.310  0.310  0.681
O  0.667  0.333  0.000
O  0.333  0.667  0.000
O  0.000  0.310  0.319
O  0.690  0.690  0.319
O  0.310  0.000  0.319
O  0.000  0.690  0.681
O  0.690  0.000  0.681
Mg  0.000  0.000  0.500


Record 7
Ba2MgMn2O6: optimized geometry, GGA+U.

Output
Space-group type   P1 (1)
Relative energy among the computed polymorphs   0.000 eV per atom
DFT total energy   -73.196 eV per cell

Unit cell a=6.082 b=6.235 c=5.723 alpha=101.71 beta=94.52 gamma=123.84
Fractional positions:
O  0.293  0.102  0.903
O  0.794  0.731  0.641
O  0.111  0.834  0.286
O  0.609  0.755  0.088
O  0.956  0.272  0.734
O  0.128  0.286  0.307
Ba  0.679  0.300  0.300
Ba  0.389  0.771  0.646
Mn  0.013  0.037  0.508
Mn  0.949  0.862  0.989
Mg  0.257  0.405  0.023


Record 8
BaMgMn4O8: optimized geometry, GGA+U.

Output
Space-group type   Cm (8)
Relative energy among the computed polymorphs   0.047 eV per atom
DFT total energy   -97.668 eV per cell

Unit cell a=3.170 b=7.198 c=8.045 alpha=75.27 beta=78.64 gamma=77.27
Fractional positions:
O  0.533  0.661  0.273
O  0.766  0.437  0.030
O  0.113  0.806  0.966
O  0.847  0.952  0.354
O  0.166  0.318  0.351
O  0.859  0.663  0.619
O  0.201  0.982  0.616
O  0.505  0.242  0.747
Mg  0.680  0.848  0.792
Mn  0.664  0.184  0.488
Mn  0.909  0.405  0.776
Mn  0.370  0.790  0.470
Mn  0.141  0.562  0.155
Ba  0.414  0.077  0.095